Below is a relaxed GeH6CI3N crystal, with properties calculated at the PBE level.

a b c (Å): 8.619 8.626 12.381
angles (deg): 89.63 89.63 89.91
Positions (direct):
Ge1 0.000 0.000 0.000
Ge2 0.001 0.005 0.500
Ge3 0.499 0.500 0.000
Ge4 0.507 0.504 0.500
H1 0.030 0.386 0.683
H2 0.052 0.604 0.363
H3 0.072 0.412 0.362
H4 0.083 0.587 0.680
H5 0.113 0.480 0.861
H6 0.120 0.512 0.181
H7 0.383 0.027 0.185
H8 0.384 0.038 0.685
H9 0.423 0.920 0.864
H10 0.430 0.919 0.367
H11 0.466 0.109 0.363
H12 0.470 0.107 0.865
H13 0.524 0.885 0.684
H14 0.534 0.885 0.185
H15 0.582 0.087 0.181
H16 0.587 0.083 0.682
H17 0.609 0.970 0.863
H18 0.613 0.983 0.363
H19 0.882 0.532 0.685
H20 0.894 0.491 0.365
H21 0.929 0.420 0.866
H22 0.934 0.607 0.184
H23 0.946 0.399 0.184
H24 0.969 0.609 0.863
C1 0.001 0.505 0.212
C2 0.499 0.002 0.712
C3 0.500 0.000 0.212
C4 0.999 0.502 0.711
I1 0.002 0.002 0.722
I2 0.003 0.002 0.223
I3 0.246 0.257 0.488
I4 0.250 0.747 0.988
I5 0.259 0.757 0.488
I6 0.267 0.253 0.989
I7 0.502 0.502 0.722
I8 0.505 0.502 0.223
I9 0.747 0.246 0.489
I10 0.755 0.766 0.988
I11 0.759 0.745 0.489
I12 0.762 0.258 0.989
N1 0.003 0.503 0.832
N2 0.004 0.503 0.332
N3 0.501 0.001 0.833
N4 0.503 0.003 0.333

Electronic total energy = -203.45 eV for the cell shown
Space group = P1, No. 1

---

Below is a relaxed Tb3AlC crystal, with properties calculated at the PBE level.

a b c (Å): 4.916 4.916 4.916
angles (deg): 90.00 90.00 90.00
Positions (direct):
Tb1 0.000 0.000 0.500
Tb2 0.000 0.500 0.000
Tb3 0.500 0.000 0.000
Al1 0.500 0.500 0.500
C1 0.000 0.000 0.000

Energy above the most stable polymorph in this dataset = 0.000 eV per atom
Electronic total energy = -28.66 eV for the cell shown
Space group = Pm-3m, No. 221

---

Below is a relaxed BiS4N3Cl4 crystal, with properties calculated at the PBE level.

a b c (Å): 7.624 9.639 9.909
angles (deg): 66.18 76.77 85.32
Positions (direct):
Bi1 0.246 0.381 0.039
Bi2 0.754 0.619 0.961
S1 0.021 0.844 0.349
S2 0.243 0.407 0.535
S3 0.307 0.964 0.712
S4 0.497 0.145 0.629
S5 0.503 0.855 0.371
S6 0.693 0.036 0.288
S7 0.757 0.593 0.465
S8 0.979 0.156 0.651
N1 0.055 0.325 0.578
N2 0.114 0.026 0.696
N3 0.410 0.306 0.567
N4 0.590 0.694 0.433
N5 0.886 0.974 0.304
N6 0.945 0.675 0.422
Cl1 0.117 0.610 0.800
Cl2 0.156 0.188 0.952
Cl3 0.312 0.159 0.296
Cl4 0.414 0.611 0.116
Cl5 0.586 0.389 0.884
Cl6 0.688 0.841 0.704
Cl7 0.844 0.812 0.048
Cl8 0.883 0.390 0.200

Electronic total energy = -108.96 eV for the cell shown
Space group = P-1, No. 2

---

Below is a relaxed SnO2 crystal, with properties calculated at the PBE level.

a b c (Å): 9.335 3.225 11.354
angles (deg): 90.00 90.00 90.00
Positions (direct):
Sn1 0.052 0.250 0.117
Sn2 0.087 0.250 0.603
Sn3 0.413 0.750 0.103
Sn4 0.448 0.750 0.617
Sn5 0.552 0.250 0.383
Sn6 0.587 0.250 0.897
Sn7 0.913 0.750 0.397
Sn8 0.948 0.750 0.883
O1 0.034 0.750 0.714
O2 0.079 0.250 0.929
O3 0.116 0.750 0.487
O4 0.195 0.750 0.148
O5 0.305 0.250 0.648
O6 0.384 0.250 0.987
O7 0.421 0.750 0.429
O8 0.466 0.250 0.214
O9 0.534 0.750 0.786
O10 0.579 0.250 0.571
O11 0.616 0.750 0.013
O12 0.695 0.750 0.352
O13 0.805 0.250 0.852
O14 0.884 0.250 0.513
O15 0.921 0.750 0.071
O16 0.966 0.250 0.286

Electronic total energy = -148.78 eV for the cell shown
Space group = Pnma, No. 62

---

no.,mass density (g/cm3)
1,3.50
2,7.21
3,2.67
4,5.86